1.
A geometry-optimized Al2Si2H4O9 structure, computed with GGA-PBE.

Summary:
**Symmetry**: Cc (9)
**Electronic total energy**: -216.98 eV per cell
**Total magnetization**: 0.0 Bohr magnetons per cell
**Energy above the lowest structure with this stoichiometry**: 0.3633 eV/atom
**Corrected total energy (MP2020 scheme)**: -229.34 eV for the cell shown

abc: 5.356 5.356 22.809
angles: 61.38 118.62 119.55
Atoms (fractional coordinates):
O1 0.397 0.910 0.998
O2 0.598 0.599 0.503
O3 0.299 0.188 0.301
O4 0.580 0.117 0.490
O5 0.823 0.551 0.228
O6 0.311 0.413 0.110
O7 0.833 0.807 0.730
O8 0.775 0.112 0.111
O9 0.193 0.167 0.230
O10 0.883 0.420 0.990
O11 0.547 0.919 0.223
O12 0.812 0.701 0.801
O13 0.449 0.177 0.728
O14 0.587 0.689 0.610
O15 0.888 0.225 0.611
O16 0.401 0.402 0.003
O17 0.081 0.453 0.723
O18 0.090 0.603 0.498
Al1 0.751 0.479 0.709
Al2 0.521 0.249 0.209
Al3 0.804 0.899 0.203
Al4 0.101 0.196 0.703
Si1 0.795 0.392 0.526
Si2 0.253 0.542 0.023
Si3 0.608 0.205 0.026
Si4 0.458 0.747 0.523
H1 0.604 0.949 0.879
H2 0.086 0.256 0.391
H3 0.744 0.914 0.891
H4 0.089 0.311 0.113
H5 0.599 0.685 0.787
H6 0.315 0.401 0.287
H7 0.689 0.911 0.613
H8 0.051 0.396 0.379

2.
A geometry-optimized CeSe2 structure, computed with GGA-PBE.

Summary:
**Symmetry**: Fm-3m (225)
**Electronic total energy**: -388.55 eV per cell
**Total magnetization**: 0.0 Bohr magnetons per cell
**Corrected total energy (MP2020 scheme)**: -411.20 eV for the cell shown

abc: 22.736 22.736 22.736
angles: 60.00 60.00 60.00
Atoms (fractional coordinates):
Se1 0.977 0.783 0.457
Se2 0.783 0.977 0.783
Se3 0.088 0.088 0.412
Se4 0.977 0.457 0.783
Se5 0.588 0.588 0.912
Se6 0.412 0.088 0.412
Se7 0.412 0.088 0.088
Se8 0.217 0.543 0.023
Se9 0.348 0.652 0.000
Se10 0.000 0.652 0.348
Se11 0.088 0.412 0.088
Se12 0.000 0.652 0.000
Se13 0.000 0.000 0.652
Se14 0.457 0.783 0.977
Se15 0.088 0.412 0.412
Se16 0.588 0.912 0.912
Se17 0.348 0.000 0.000
Se18 0.457 0.783 0.783
Se19 0.652 0.348 0.000
Se20 0.348 0.000 0.652
Se21 0.652 0.000 0.348
Se22 0.217 0.543 0.217
Se23 0.543 0.023 0.217
Se24 0.023 0.543 0.217
Se25 0.000 0.348 0.652
Se26 0.543 0.217 0.023
Se27 0.783 0.457 0.783
Se28 0.000 0.000 0.348
Se29 0.412 0.412 0.088
Se30 0.588 0.912 0.588
Se31 0.783 0.783 0.977
Se32 0.783 0.457 0.977
Se33 0.652 0.000 0.000
Se34 0.217 0.023 0.217
Se35 0.912 0.588 0.912
Se36 0.023 0.217 0.543
Se37 0.217 0.217 0.023
Se38 0.217 0.217 0.543
Se39 0.783 0.977 0.457
Se40 0.912 0.588 0.588
Se41 0.217 0.023 0.543
Se42 0.023 0.217 0.217
Se43 0.543 0.217 0.217
Se44 0.977 0.783 0.783
Se45 0.000 0.348 0.000
Se46 0.457 0.977 0.783
Se47 0.783 0.783 0.457
Se48 0.912 0.912 0.588
Ce1 0.081 0.081 0.538
Ce2 0.919 0.919 0.462
Ce3 0.538 0.081 0.081
Ce4 0.300 0.081 0.538
Ce5 0.081 0.081 0.300
Ce6 0.081 0.300 0.081
Ce7 0.538 0.300 0.081
Ce8 0.462 0.919 0.919
Ce9 0.919 0.919 0.700
Ce10 0.700 0.919 0.462
Ce11 0.919 0.700 0.462
Ce12 0.300 0.081 0.081
Ce13 0.081 0.300 0.538
Ce14 0.919 0.700 0.919
Ce15 0.919 0.462 0.919
Ce16 0.919 0.462 0.700
Ce17 0.700 0.919 0.919
Ce18 0.538 0.081 0.300
Ce19 0.081 0.538 0.300
Ce20 0.462 0.919 0.700
Ce21 0.462 0.700 0.919
Ce22 0.081 0.538 0.081
Ce23 0.300 0.538 0.081
Ce24 0.700 0.462 0.919

| no. | energy of formation (eV per atom) |
| --- | --- |
| 1 | -2.249 |
| 2 | -1.403 |